# PBE LaFe8Si5, optimized geometry
data_LaFe8Si5
_cell_length_a 7.901
_cell_length_b 7.901
_cell_length_c 11.521
_cell_angle_alpha 90.00
_cell_angle_beta 90.00
_cell_angle_gamma 90.00
_space_group_name_H-M_alt 'I 4/m c m'
_space_group_IT_number 140
_space_group_name_Hall '-I 4 2c'
loop_
_atom_site_label
_atom_site_fract_x
_atom_site_fract_y
_atom_site_fract_z
_atom_site_occupancy
La1 0.000 0.000 0.250 1
Fe1 0.060 0.202 0.000 1
Fe2 0.113 0.387 0.175 1
Si1 0.000 0.500 0.000 1
Si2 0.182 0.318 0.372 1
# * energy relative to the lowest polymorph listed for this composition: 0.0 kJ per mole of atoms
# * E_form: -0.405 eV per atom


# PBE SrCaEuSbO6, optimized geometry
data_SrCaEuSbO6
_cell_length_a 8.385
_cell_length_b 8.396
_cell_length_c 8.427
_cell_angle_alpha 90.00
_cell_angle_beta 90.00
_cell_angle_gamma 90.00
_space_group_name_H-M_alt 'P n n n'
_space_group_IT_number 48
loop_
_space_group_symop_operation_xyz
'x,y,z'
'-x,-y,-z'
'-x+1/2,-y+1/2,z'
'x+1/2,y+1/2,-z'
'x,-y+1/2,-z+1/2'
'-x,y+1/2,z+1/2'
'-x+1/2,y,-z+1/2'
'x+1/2,-y,z+1/2'
loop_
_atom_site_label
_atom_site_fract_x
_atom_site_fract_y
_atom_site_fract_z
_atom_site_occupancy
Sr1 0.250 0.250 0.250 1
Sr2 0.250 0.750 0.250 1
Ca1 0.250 0.250 0.750 1
Ca2 0.250 0.750 0.750 1
Eu1 0.000 0.000 0.000 1
Sb1 0.000 0.000 0.500 1
O1 0.030 0.233 0.452 1
O2 0.051 0.042 0.732 1
O3 0.233 0.542 0.036 1
# * energy relative to the lowest polymorph listed for this composition: 1.7 kJ per mole of atoms
# * E_form: -2.809 eV per atom


# PBE B5Mo2, optimized geometry
data_B5Mo2
_cell_length_a 3.9059
_cell_length_b 3.9059
_cell_length_c 10.2969
_cell_angle_alpha 90.00
_cell_angle_beta 90.00
_cell_angle_gamma 120.00
_space_group_name_H-M_alt 'P 63/m m c'
_space_group_IT_number 194
_space_group_name_Hall '-P 6c 2c'
loop_
_atom_site_label
_atom_site_fract_x
_atom_site_fract_y
_atom_site_fract_z
_atom_site_occupancy
B1 0.0000 0.5000 0.0000 1
B2 0.3333 0.6667 0.1618 1
Mo1 0.0000 0.0000 0.1331 1
# * energy relative to the lowest polymorph listed for this composition: 34.9 kJ per mole of atoms
# * E_form: 0.427 eV per atom